Below is a relaxed SmNiGe crystal, with properties calculated at the r2SCAN level.

Structure (CIF):
```
data_SmNiGe
_chemical_formula_sum 'Sm4 Ni4 Ge4'
_space_group_name_H-M_alt 'P n m a'
_space_group_IT_number 62
_cell_length_a 7.124
_cell_length_b 4.274
_cell_length_c 7.269
_cell_angle_alpha 90.00
_cell_angle_beta 90.00
_cell_angle_gamma 90.00
loop_
_space_group_symop_operation_xyz
'x,y,z'
'-x,-y,-z'
'-x+1/2,-y,z+1/2'
'x+1/2,y,-z+1/2'
'x+1/2,-y+1/2,-z+1/2'
'-x+1/2,y+1/2,z+1/2'
'-x,y+1/2,-z'
'x,-y+1/2,z'
loop_
_atom_site_label
_atom_site_type_symbol
_atom_site_fract_x
_atom_site_fract_y
_atom_site_fract_z
Sm1 Sm 0.011 0.250 0.205
Ni1 Ni 0.189 0.750 0.418
Ge1 Ge 0.194 0.250 0.589
```

Values from the calculation:
Calculated total energy = -231.63 eV/cell